(1)
Crystalline K2DyAuCl6 at its relaxed geometry. Source: the Materials Project database, functional PBE-GGA.

## Properties
For the formation energy, the calculation gives -2.00 eV per atom. Its final energy is -3.754 eV per atom.

Unit cell a=10.7383 b=10.7383 c=10.7383 alpha=90.00 beta=90.00 gamma=90.00
Last column: nearest neighbours and their distance in Å.
Space group Fm-3m (No. 225)
Unique sites:
K (0.2500, 0.2500, 0.2500) [8 per cell]  12 Cl 3.80
Dy (0.0000, 0.0000, 0.0000) [4 per cell]  6 Cl 2.63
Au (0.0000, 0.0000, 0.5000) [4 per cell]  6 Cl 2.74
Cl (0.0000, 0.0000, 0.2449) [24 per cell]  1 Dy 2.63, 1 Au 2.74

***

(2)
Crystalline K2ErAuCl6 at its relaxed geometry. Source: the Materials Project database, functional PBE-GGA.

## Properties
For the formation energy, the calculation gives -2.01 eV per atom. Its final energy is -3.753 eV per atom.

Unit cell a=10.6935 b=10.6935 c=10.6935 alpha=90.00 beta=90.00 gamma=90.00
Last column: nearest neighbours and their distance in Å.
Space group Fm-3m (No. 225)
Unique sites:
K (0.2500, 0.2500, 0.2500) [8 per cell]  12 Cl 3.78
Er (0.0000, 0.0000, 0.0000) [4 per cell]  6 Cl 2.61
Au (0.0000, 0.0000, 0.5000) [4 per cell]  6 Cl 2.74
Cl (0.0000, 0.0000, 0.2438) [24 per cell]  1 Er 2.61, 1 Au 2.74

***

(3)
Crystalline Rb2ErAuCl6 at its relaxed geometry. Source: the Materials Project database, functional PBE-GGA.

## Properties
For the formation energy, the calculation gives -2.04 eV per atom. Its final energy is -3.763 eV per atom.

Unit cell a=10.7452 b=10.7452 c=10.7452 alpha=90.00 beta=90.00 gamma=90.00
Last column: nearest neighbours and their distance in Å.
Space group Fm-3m (No. 225)
Unique sites:
Rb (0.2500, 0.2500, 0.2500) [8 per cell]  12 Cl 3.80
Er (0.0000, 0.0000, 0.0000) [4 per cell]  6 Cl 2.61
Au (0.0000, 0.0000, 0.5000) [4 per cell]  6 Cl 2.76
Cl (0.0000, 0.0000, 0.2432) [24 per cell]  1 Er 2.61, 1 Au 2.76

***

(4)
Crystalline Rb2EuAuCl6 at its relaxed geometry. Source: the Materials Project database, functional PBE-GGA.

## Properties
For the formation energy, the calculation gives -1.92 eV per atom. Its final energy is -4.214 eV per atom.

Unit cell a=10.8359 b=10.8359 c=10.8359 alpha=90.00 beta=90.00 gamma=90.00
Last column: nearest neighbours and their distance in Å.
Space group Fm-3m (No. 225)
Unique sites:
Rb (0.2500, 0.2500, 0.2500) [8 per cell]  12 Cl 3.83
Eu (0.0000, 0.0000, 0.0000) [4 per cell]  6 Cl 2.74
Au (0.0000, 0.0000, 0.5000) [4 per cell]  6 Cl 2.68
Cl (0.0000, 0.0000, 0.2531) [24 per cell]  1 Au 2.68, 1 Eu 2.74

***

(5)
Crystalline K2GaAuCl6 at its relaxed geometry. Source: the Materials Project database, functional PBE-GGA.

## Properties
For the formation energy, the calculation gives -1.54 eV per atom. Its final energy is -3.129 eV per atom.

Unit cell a=10.2294 b=10.2294 c=10.2294 alpha=90.00 beta=90.00 gamma=90.00
Last column: nearest neighbours and their distance in Å.
Space group Fm-3m (No. 225)
Unique sites:
K (0.2500, 0.2500, 0.2500) [8 per cell]  12 Cl 3.62
Ga (0.0000, 0.0000, 0.0000) [4 per cell]  6 Cl 2.42
Au (0.0000, 0.0000, 0.5000) [4 per cell]  6 Cl 2.69
Cl (0.0000, 0.0000, 0.2366) [24 per cell]  1 Ga 2.42, 1 Au 2.69

***

(6)
Crystalline Rb2GaAuCl6 at its relaxed geometry. Source: the Materials Project database, functional PBE-GGA.

## Properties
For the formation energy, the calculation gives -1.56 eV per atom. Its final energy is -3.129 eV per atom.

Unit cell a=10.2947 b=10.2947 c=10.2947 alpha=90.00 beta=90.00 gamma=90.00
Last column: nearest neighbours and their distance in Å.
Space group Fm-3m (No. 225)
Unique sites:
Rb (0.2500, 0.2500, 0.2500) [8 per cell]  12 Cl 3.64
Ga (0.0000, 0.0000, 0.0000) [4 per cell]  6 Cl 2.43
Au (0.0000, 0.0000, 0.5000) [4 per cell]  6 Cl 2.72
Cl (0.0000, 0.0000, 0.2361) [24 per cell]  1 Ga 2.43, 1 Au 2.72

***

(7)
Crystalline KH2AuCl4O2 at its relaxed geometry. Source: the Materials Project database, functional PBE-GGA.

## Properties
For the formation energy, the calculation gives -0.68 eV per atom. Its final energy is -3.386 eV per atom.

Unit cell a=12.3069 b=9.4140 c=7.3997 alpha=90.00 beta=90.00 gamma=90.00
Last column: nearest neighbours and their distance in Å.
Space group Pbcn (No. 60)
Unique sites:
K (0.0000, 0.1141, 0.2500) [4 per cell]  4 O 2.70-2.85
H (0.2186, 0.0402, 0.5405) [8 per cell]  1 O 0.98
Au (0.0000, 0.4175, 0.7500) [4 per cell]  4 Cl 2.31-2.33
Cl (0.1242, 0.4103, 0.3335) [8 per cell]  1 Au 2.31
Cl (0.1267, 0.2441, 0.8272) [8 per cell]  1 Au 2.33
O (0.1387, 0.0380, 0.5428) [8 per cell]  1 H 0.98

***

(8)
Crystalline IrAuN5Cl6 at its relaxed geometry. Source: the Materials Project database, functional PBE-GGA.

## Properties
For the formation energy, the calculation gives 0.81 eV per atom. Its final energy is -3.893 eV per atom. The value obtained for the energy relative to the lowest polymorph listed for this composition is 0.0000 eV per atom.

Unit cell a=14.0761 b=8.2075 c=11.8976 alpha=90.00 beta=112.32 gamma=90.00
Last column: nearest neighbours and their distance in Å.
Space group C2/m (No. 12)
Unique sites:
Ir (0.2336, 0.0000, 0.2494) [4 per cell]  3 N 1.78-1.82
Au (0.0000, 0.0000, 0.5000) [2 per cell]  4 Cl 2.30-2.33
Au (0.0000, 0.5000, 0.0000) [2 per cell]  4 Cl 2.31-2.33
N (0.1342, 0.3429, 0.7638) [8 per cell]  1 Cl 1.54
N (0.1677, 0.1671, 0.2897) [8 per cell]  1 Ir 1.82
N (0.1816, 0.0000, 0.0879) [4 per cell]  1 Ir 1.78
Cl (0.0000, 0.2166, 0.0000) [4 per cell]  1 Au 2.33
Cl (0.0078, 0.0000, 0.3080) [4 per cell]  1 Au 2.33
Cl (0.0750, 0.5000, 0.7663) [4 per cell]  2 N 1.54
Cl (0.1464, 0.5000, 0.5389) [4 per cell]  1 Ir 2.44
Cl (0.1754, 0.5000, 0.1089) [4 per cell]  1 Au 2.31
Cl (0.1768, 0.0000, 0.5832) [4 per cell]  1 Au 2.30

***

(9)
Crystalline IrAuN5Cl6 at its relaxed geometry. Source: the Materials Project database, functional PBE-GGA.

## Properties
For the formation energy, the calculation gives 0.95 eV per atom. Its final energy is -3.753 eV per atom. The value obtained for the energy relative to the lowest polymorph listed for this composition is 0.1399 eV per atom.

Unit cell a=15.4190 b=8.5783 c=10.7290 alpha=90.00 beta=108.31 gamma=90.00
Last column: nearest neighbours and their distance in Å.
Space group C2/m (No. 12)
Unique sites:
Ir (0.2497, 0.0000, 0.2263) [4 per cell]  2 N 1.75
Au (0.0000, 0.0000, 0.5000) [2 per cell]  4 Cl 2.31-2.32
Au (0.0000, 0.5000, 0.0000) [2 per cell]  4 Cl 2.31
N (0.1621, 0.1617, 0.2762) [8 per cell]  1 Ir 2.12
N (0.1840, 0.5000, 0.5535) [4 per cell]  1 Cl 1.60
N (0.1923, 0.3234, 0.7715) [8 per cell]  1 Ir 1.75
Cl (0.0000, 0.2695, 0.5000) [4 per cell]  1 Au 2.31
Cl (0.0183, 0.0000, 0.2933) [4 per cell]  1 Au 2.32
Cl (0.0215, 0.5000, 0.7968) [4 per cell]  1 Au 2.31
Cl (0.1438, 0.0000, 0.0221) [4 per cell]  1 Ir 2.28
Cl (0.1566, 0.5000, 0.1008) [4 per cell]  1 Au 2.31
Cl (0.2473, 0.5000, 0.4602) [4 per cell]  1 N 1.60

***

(10)
Crystalline KAuCl3 at its relaxed geometry. Source: the Materials Project database, functional PBE-GGA.

## Properties
For the formation energy, the calculation gives -1.30 eV per atom. Its final energy is -2.914 eV per atom.

Unit cell a=5.1385 b=5.1385 c=5.1385 alpha=90.00 beta=90.00 gamma=90.00
Last column: nearest neighbours and their distance in Å.
Space group Pm-3m (No. 221)
Unique sites:
K (0.0000, 0.0000, 0.0000) [1 per cell]  12 Cl 3.63
Au (0.5000, 0.5000, 0.5000) [1 per cell]  6 Cl 2.57
Cl (0.0000, 0.5000, 0.5000) [3 per cell]  2 Au 2.57